--- w ---
! LiMnPO4 | the Materials Project | GGA+U | optimized geometry; values from VASP
! V   179.8 Å³/cell
! Largest piezoelectric modulus   0.4 C/m²
&SYSTEM
  ibrav = 0, nat = 14, ntyp = 4
/
ATOMIC_SPECIES
O 16.00 O.upf
Mn 54.94 Mn.upf
Li 6.94 Li.upf
P 30.97 P.upf
CELL_PARAMETERS angstrom
0.000 4.373 0.000
0.000 0.000 9.399
4.373 0.000 0.000
ATOMIC_POSITIONS crystal
O 0.780 0.096 0.810
O 0.310 0.404 0.720
O 0.810 0.904 0.220
O 0.690 0.404 0.280
Mn 0.000 0.750 0.500
Li 0.500 0.000 0.500
O 0.280 0.596 0.310
P 0.000 0.000 0.000
Li 0.000 0.500 0.000
P 0.500 0.500 0.500
Mn 0.500 0.250 0.000
O 0.220 0.096 0.190
O 0.190 0.904 0.780
O 0.720 0.596 0.690

--- x ---
! LiMnPO4 | the Materials Project | GGA+U | optimized geometry; values from VASP
! V   305.2 Å³/cell
&SYSTEM
  ibrav = 0, nat = 28, ntyp = 4
/
ATOMIC_SPECIES
Li 6.94 Li.upf
Mn 54.94 Mn.upf
P 30.97 P.upf
O 16.00 O.upf
CELL_PARAMETERS angstrom
9.453 0.000 0.000
0.000 6.462 0.000
0.000 0.000 4.996
ATOMIC_POSITIONS crystal
Li 0.170 0.250 0.023
Li 0.330 0.750 0.523
Li 0.670 0.250 0.477
Li 0.830 0.750 0.977
Mn 0.000 0.000 0.500
Mn 0.000 0.500 0.500
Mn 0.500 0.000 0.000
Mn 0.500 0.500 0.000
P 0.179 0.750 0.020
P 0.321 0.250 0.520
P 0.679 0.750 0.480
P 0.821 0.250 0.980
O 0.121 0.551 0.151
O 0.121 0.949 0.151
O 0.141 0.750 0.715
O 0.155 0.250 0.573
O 0.345 0.750 0.073
O 0.359 0.250 0.215
O 0.379 0.051 0.651
O 0.379 0.449 0.651
O 0.621 0.551 0.349
O 0.621 0.949 0.349
O 0.641 0.750 0.785
O 0.655 0.250 0.927
O 0.845 0.750 0.427
O 0.859 0.250 0.285
O 0.879 0.051 0.849
O 0.879 0.449 0.849

The structure with the most favorable energy is x; the runner-up is 3.6 kJ/mol of atoms above it.

--- w ---
! LiMnPO4 | the Materials Project | GGA+U | optimized geometry; values from VASP
! V   479.4 Å³/cell
&SYSTEM
  ibrav = 0, nat = 42, ntyp = 4
/
ATOMIC_SPECIES
Li 6.94 Li.upf
Mn 54.94 Mn.upf
P 30.97 P.upf
O 16.00 O.upf
CELL_PARAMETERS angstrom
8.598 0.000 0.000
-4.299 7.446 0.000
0.000 0.000 7.489
ATOMIC_POSITIONS crystal
Li 0.016 0.680 0.000
Li 0.320 0.337 0.000
Li 0.337 0.016 0.500
Li 0.663 0.984 0.000
Li 0.680 0.663 0.500
Li 0.984 0.320 0.500
Mn 0.000 0.000 0.280
Mn 0.000 0.000 0.780
Mn 0.333 0.667 0.285
Mn 0.333 0.667 0.861
Mn 0.667 0.333 0.361
Mn 0.667 0.333 0.785
P 0.034 0.685 0.586
P 0.315 0.349 0.586
P 0.349 0.034 0.086
P 0.651 0.966 0.586
P 0.685 0.651 0.086
P 0.966 0.315 0.086
O 0.069 0.207 0.080
O 0.108 0.520 0.074
O 0.136 0.728 0.766
O 0.139 0.931 0.080
O 0.173 0.751 0.433
O 0.207 0.139 0.580
O 0.249 0.422 0.433
O 0.272 0.409 0.766
O 0.409 0.136 0.266
O 0.413 0.892 0.074
O 0.422 0.173 0.933
O 0.480 0.587 0.074
O 0.520 0.413 0.574
O 0.578 0.827 0.433
O 0.587 0.108 0.574
O 0.591 0.864 0.766
O 0.728 0.591 0.266
O 0.751 0.578 0.933
O 0.793 0.861 0.080
O 0.827 0.249 0.933
O 0.861 0.069 0.580
O 0.864 0.272 0.266
O 0.892 0.480 0.574
O 0.931 0.793 0.580

--- x ---
! LiMnPO4 | the Materials Project | GGA+U | optimized geometry; values from VASP
! V   674.3 Å³/cell
&SYSTEM
  ibrav = 0, nat = 56, ntyp = 4
/
ATOMIC_SPECIES
Li 6.94 Li.upf
Mn 54.94 Mn.upf
P 30.97 P.upf
O 16.00 O.upf
CELL_PARAMETERS angstrom
7.926 0.000 0.000
0.000 17.354 0.000
0.000 0.000 4.902
ATOMIC_POSITIONS crystal
Li 0.018 0.056 0.000
Li 0.170 0.644 0.528
Li 0.330 0.144 0.028
Li 0.482 0.556 0.500
Li 0.518 0.444 0.000
Li 0.670 0.856 0.528
Li 0.830 0.356 0.028
Li 0.982 0.944 0.500
Mn 0.076 0.243 0.568
Mn 0.151 0.448 0.563
Mn 0.349 0.948 0.063
Mn 0.424 0.743 0.068
Mn 0.576 0.257 0.568
Mn 0.651 0.052 0.563
Mn 0.849 0.552 0.063
Mn 0.924 0.757 0.068
P 0.214 0.325 0.000
P 0.240 0.069 0.504
P 0.260 0.569 0.004
P 0.286 0.825 0.500
P 0.714 0.175 0.000
P 0.740 0.431 0.504
P 0.760 0.931 0.004
P 0.786 0.675 0.500
O 0.052 0.353 0.842
O 0.089 0.032 0.362
O 0.094 0.534 0.876
O 0.133 0.867 0.383
O 0.189 0.335 0.315
O 0.223 0.238 0.930
O 0.240 0.157 0.433
O 0.241 0.053 0.817
O 0.259 0.553 0.317
O 0.260 0.657 0.933
O 0.277 0.738 0.430
O 0.311 0.835 0.815
O 0.367 0.367 0.883
O 0.406 0.034 0.376
O 0.411 0.532 0.862
O 0.448 0.853 0.342
O 0.552 0.147 0.842
O 0.589 0.468 0.362
O 0.594 0.966 0.876
O 0.633 0.633 0.383
O 0.689 0.165 0.315
O 0.723 0.262 0.930
O 0.740 0.343 0.433
O 0.741 0.447 0.817
O 0.759 0.947 0.317
O 0.760 0.843 0.933
O 0.777 0.762 0.430
O 0.811 0.665 0.815
O 0.867 0.133 0.883
O 0.906 0.466 0.376
O 0.911 0.968 0.862
O 0.948 0.647 0.342

--- y ---
! LiMnPO4 | the Materials Project | GGA+U | optimized geometry; values from VASP
! V   356.7 Å³/cell
&SYSTEM
  ibrav = 0, nat = 28, ntyp = 4
/
ATOMIC_SPECIES
Mn 54.94 Mn.upf
O 16.00 O.upf
Li 6.94 Li.upf
P 30.97 P.upf
CELL_PARAMETERS angstrom
5.068 -0.001 0.004
-2.528 1.468 8.009
0.002 -8.786 -0.004
ATOMIC_POSITIONS crystal
Mn 0.343 0.687 0.781
O 0.900 0.536 0.073
O 0.387 0.190 0.374
Li 0.219 0.436 0.073
P 0.065 0.130 0.355
Mn 0.843 0.687 0.281
O 0.401 0.536 0.573
O 0.963 0.190 0.215
O 0.428 0.536 0.281
O 0.895 0.790 0.964
O 0.395 0.790 0.464
O 0.935 0.191 0.506
O 0.887 0.190 0.874
O 0.928 0.535 0.781
O 0.468 0.937 0.823
P 0.299 0.597 0.433
Li 0.645 0.290 0.215
O 0.476 0.536 0.914
P 0.799 0.597 0.933
Li 0.719 0.436 0.573
Mn 0.520 0.039 0.506
Mn 0.020 0.039 0.006
O 0.977 0.536 0.414
O 0.463 0.190 0.715
Li 0.145 0.290 0.715
O 0.968 0.937 0.323
O 0.435 0.191 0.007
P 0.565 0.130 0.855

The structure with the most favorable energy is w; the runner-up is 2.6 kJ/mol of atoms above it.

--- w ---
! LiMnPO4 | the Materials Project | GGA+U | optimized geometry; values from VASP
! V   1291.7 Å³/cell
&SYSTEM
  ibrav = 0, nat = 84, ntyp = 4
/
ATOMIC_SPECIES
Li 6.94 Li.upf
Mn 54.94 Mn.upf
P 30.97 P.upf
O 16.00 O.upf
CELL_PARAMETERS angstrom
10.844 0.000 0.000
-5.422 9.391 0.000
0.000 0.000 12.684
ATOMIC_POSITIONS crystal
Li 0.000 0.000 0.000
Li 0.000 0.000 0.333
Li 0.000 0.000 0.667
Li 0.000 0.500 0.161
Li 0.000 0.500 0.506
Li 0.000 0.500 0.833
Li 0.500 0.000 0.173
Li 0.500 0.000 0.500
Li 0.500 0.000 0.827
Li 0.500 0.500 0.167
Li 0.500 0.500 0.494
Li 0.500 0.500 0.839
Mn 0.000 0.251 0.333
Mn 0.000 0.749 0.333
Mn 0.249 0.498 0.000
Mn 0.249 0.751 0.667
Mn 0.251 0.000 0.000
Mn 0.251 0.251 0.667
Mn 0.498 0.249 0.333
Mn 0.502 0.751 0.333
Mn 0.749 0.000 0.000
Mn 0.749 0.749 0.667
Mn 0.751 0.249 0.667
Mn 0.751 0.502 0.000
P 0.000 0.244 0.833
P 0.000 0.756 0.833
P 0.244 0.000 0.500
P 0.244 0.244 0.167
P 0.248 0.495 0.500
P 0.248 0.752 0.167
P 0.495 0.248 0.833
P 0.505 0.752 0.833
P 0.752 0.248 0.167
P 0.752 0.505 0.500
P 0.756 0.000 0.500
P 0.756 0.756 0.167
O 0.064 0.190 0.747
O 0.064 0.874 0.920
O 0.106 0.407 0.438
O 0.106 0.699 0.228
O 0.109 0.390 0.883
O 0.109 0.719 0.784
O 0.126 0.190 0.253
O 0.126 0.936 0.413
O 0.190 0.064 0.587
O 0.190 0.126 0.080
O 0.206 0.581 0.575
O 0.206 0.624 0.092
O 0.281 0.390 0.117
O 0.281 0.891 0.549
O 0.301 0.407 0.562
O 0.301 0.894 0.105
O 0.376 0.581 0.425
O 0.376 0.794 0.242
O 0.390 0.109 0.451
O 0.390 0.281 0.216
O 0.407 0.106 0.895
O 0.407 0.301 0.772
O 0.419 0.624 0.908
O 0.419 0.794 0.758
O 0.581 0.206 0.758
O 0.581 0.376 0.908
O 0.593 0.699 0.772
O 0.593 0.894 0.895
O 0.610 0.719 0.216
O 0.610 0.891 0.451
O 0.624 0.206 0.242
O 0.624 0.419 0.425
O 0.699 0.106 0.105
O 0.699 0.593 0.562
O 0.719 0.109 0.549
O 0.719 0.610 0.117
O 0.794 0.376 0.092
O 0.794 0.419 0.575
O 0.810 0.874 0.080
O 0.810 0.936 0.587
O 0.874 0.064 0.413
O 0.874 0.810 0.253
O 0.891 0.281 0.784
O 0.891 0.610 0.883
O 0.894 0.301 0.228
O 0.894 0.593 0.438
O 0.936 0.126 0.920
O 0.936 0.810 0.747

--- x ---
! LiMnPO4 | the Materials Project | GGA+U | optimized geometry; values from VASP
! V   189.6 Å³/cell
! Largest piezoelectric modulus   2.4 C/m²
&SYSTEM
  ibrav = 0, nat = 14, ntyp = 4
/
ATOMIC_SPECIES
Li 6.94 Li.upf
Mn 54.94 Mn.upf
P 30.97 P.upf
O 16.00 O.upf
CELL_PARAMETERS angstrom
2.563 -4.553 0.000
2.563 4.553 0.000
-0.802 0.000 8.124
ATOMIC_POSITIONS crystal
Li 0.086 0.914 0.500
Li 0.914 0.086 0.000
Mn 0.263 0.651 0.194
Mn 0.651 0.263 0.694
P 0.280 0.593 0.780
P 0.593 0.280 0.280
O 0.072 0.640 0.658
O 0.117 0.514 0.943
O 0.292 0.317 0.715
O 0.317 0.292 0.215
O 0.514 0.117 0.443
O 0.597 0.881 0.804
O 0.640 0.072 0.158
O 0.881 0.597 0.304

--- y ---
! LiMnPO4 | the Materials Project | GGA+U | optimized geometry; values from VASP
! V   175.2 Å³/cell
&SYSTEM
  ibrav = 0, nat = 14, ntyp = 4
/
ATOMIC_SPECIES
Li 6.94 Li.upf
Mn 54.94 Mn.upf
P 30.97 P.upf
O 16.00 O.upf
CELL_PARAMETERS angstrom
4.629 0.000 0.000
-1.321 5.142 0.000
-1.866 -0.508 7.361
ATOMIC_POSITIONS crystal
Li 0.226 0.217 0.487
Li 0.774 0.783 0.513
Mn 0.446 0.262 0.106
Mn 0.554 0.738 0.894
P 0.147 0.694 0.243
P 0.853 0.306 0.757
O 0.138 0.843 0.414
O 0.187 0.414 0.881
O 0.295 0.462 0.297
O 0.340 0.877 0.129
O 0.660 0.123 0.871
O 0.705 0.538 0.703
O 0.813 0.586 0.119
O 0.862 0.157 0.586

The structure with the most favorable energy is y; the runner-up is 2.8 kJ/mol of atoms above it.

--- w ---
! LiMnPO4 | the Materials Project | GGA+U | optimized geometry; values from VASP
! V   370.6 Å³/cell
&SYSTEM
  ibrav = 0, nat = 28, ntyp = 4
/
ATOMIC_SPECIES
Li 6.94 Li.upf
Mn 54.94 Mn.upf
P 30.97 P.upf
O 16.00 O.upf
CELL_PARAMETERS angstrom
8.111 0.000 0.000
0.000 8.604 0.000
0.000 0.000 5.310
ATOMIC_POSITIONS crystal
Li 0.036 0.196 0.000
Li 0.464 0.696 0.500
Li 0.536 0.304 0.000
Li 0.964 0.804 0.500
Mn 0.173 0.559 0.131
Mn 0.327 0.059 0.631
Mn 0.673 0.941 0.131
Mn 0.827 0.441 0.631
P 0.249 0.425 0.668
P 0.251 0.925 0.168
P 0.749 0.075 0.668
P 0.751 0.575 0.168
O 0.071 0.416 0.798
O 0.136 0.941 0.400
O 0.220 0.782 0.004
O 0.240 0.074 0.002
O 0.260 0.574 0.502
O 0.280 0.282 0.504
O 0.364 0.441 0.900
O 0.429 0.916 0.298
O 0.571 0.084 0.798
O 0.636 0.559 0.400
O 0.720 0.718 0.004
O 0.740 0.426 0.002
O 0.760 0.926 0.502
O 0.780 0.218 0.504
O 0.864 0.059 0.900
O 0.929 0.584 0.298

--- x ---
! LiMnPO4 | the Materials Project | GGA+U | optimized geometry; values from VASP
! V   172.0 Å³/cell
&SYSTEM
  ibrav = 0, nat = 14, ntyp = 4
/
ATOMIC_SPECIES
Li 6.94 Li.upf
Mn 54.94 Mn.upf
P 30.97 P.upf
O 16.00 O.upf
CELL_PARAMETERS angstrom
2.512 1.450 7.870
-2.512 1.450 7.870
0.000 -2.900 7.870
ATOMIC_POSITIONS crystal
Li 0.220 0.220 0.220
Li 0.780 0.780 0.780
Mn 0.345 0.345 0.345
Mn 0.655 0.655 0.655
P 0.078 0.078 0.078
P 0.922 0.922 0.922
O 0.021 0.365 0.778
O 0.142 0.142 0.142
O 0.222 0.979 0.635
O 0.365 0.778 0.021
O 0.635 0.222 0.979
O 0.778 0.021 0.365
O 0.858 0.858 0.858
O 0.979 0.635 0.222

The structure with the most favorable energy is x; the runner-up is 1.4 kJ/mol of atoms above it.